*one*
Computed, not measured: an optimized crystal structure of CdSiP2 at the GGA-PBE level of DFT.

Cell: 4.6134 4.6134 4.6134 Å, 60.00 60.00 60.00°
Element x y z (fractional)
Cd: 0.0000 0.0000 0.0000
Si: 0.5000 0.5000 0.5000
P: 0.7500 0.7500 0.7500
P: 0.2500 0.2500 0.2500

Computed properties:
Size of the total moment ... 0.000 μB per formula unit
SG ... Fm-3m

=====

*two*
Computed, not measured: an optimized crystal structure of CdSiP2 at the GGA-PBE level of DFT.

Cell: 6.6631 6.6631 6.6631 Å, 129.05 129.05 74.93°
Element x y z (fractional)
Cd: 0.7500 0.2500 0.5000
Cd: 0.0000 0.0000 0.0000
Si: 0.5000 0.5000 0.0000
Si: 0.2500 0.7500 0.5000
P: 0.8750 0.8284 0.4534
P: 0.1716 0.6250 0.0466
P: 0.3750 0.4216 0.5466
P: 0.5784 0.1250 0.9534

Computed properties:
Piezoelectric modulus e_max ... 0.2 C/m2
SG ... I-42d

=====

Stability ranking, top and bottom: *two* is the most stable and *one* is the least stable.

=====

*one*
Computed, not measured: an optimized crystal structure of Rb3Cd at the GGA-PBE level of DFT.

Cell: 7.0725 7.0725 7.0725 Å, 60.00 60.00 60.00°
Element x y z (fractional)
Rb: 0.2500 0.2500 0.2500
Rb: 0.7500 0.7500 0.7500
Rb: 0.5000 0.5000 0.5000
Cd: 0.0000 0.0000 0.0000

Computed properties:
Size of the total moment ... 0.036 μB per formula unit
SG ... Fm-3m

=====

*two*
Computed, not measured: an optimized crystal structure of Rb3Cd at the GGA-PBE level of DFT.

Cell: 7.7836 7.7836 7.7836 Å, 132.22 132.22 69.88°
Element x y z (fractional)
Rb: 0.7500 0.2500 0.5000
Rb: 0.2500 0.7500 0.5000
Rb: 0.5000 0.5000 0.0000
Cd: 0.0000 0.0000 0.0000

Computed properties:
Size of the total moment ... 0.117 μB per formula unit
SG ... I4/mmm

=====

Stability ranking, top and bottom: *one* is the most stable and *two* is the least stable.

=====

*one*
Computed, not measured: an optimized crystal structure of TlCdS2 at the GGA-PBE level of DFT.

Cell: 3.9437 3.9437 6.9576 Å, 90.00 90.00 120.00°
Element x y z (fractional)
Tl: 0.0000 0.0000 0.5000
Cd: 0.0000 0.0000 0.0000
S: 0.6667 0.3333 0.7783
S: 0.3333 0.6667 0.2217

Computed properties:
Size of the total moment ... 0.001 μB per formula unit
SG ... P-3m1

=====

*two*
Computed, not measured: an optimized crystal structure of TlCdS2 at the GGA-PBE level of DFT.

Cell: 3.8864 3.8864 7.0754 Å, 90.00 90.00 120.00°
Element x y z (fractional)
Tl: 0.0000 0.0000 0.5000
Cd: 0.3333 0.6667 0.0000
S: 0.6667 0.3333 0.2284
S: 0.6667 0.3333 0.7716

Computed properties:
Size of the total moment ... 0.001 μB per formula unit
SG ... P-6m2

=====

Stability ranking, top and bottom: *one* is the most stable and *two* is the least stable.